# 1
144
Lattice="6.105 0.000 0.000 0.000 8.459 0.000 -2.144 0.000 36.677" Properties=species:S:1:pos:R:3 comment="GGA-PBE CuH8C2S2N4Cl, relaxed" crystal_system=monoclinic total_magnetization_mub_per_cell=0.049 corrected_energy_ev_per_atom=-5.56 pbc="T T T"
Cu -0.015 1.435 22.058
Cu 2.903 5.665 32.958
Cu 3.975 7.024 14.620
Cu 1.057 2.794 3.719
Cu 3.806 2.010 24.066
Cu -0.918 6.240 30.950
Cu 0.154 6.449 12.611
Cu 4.878 2.219 5.727
H -0.891 3.720 19.926
H 3.780 7.949 35.090
H 4.852 4.739 16.751
H 0.181 0.510 1.587
H 1.946 4.346 21.110
H 0.942 0.116 33.906
H 2.014 4.113 15.568
H 3.018 8.343 2.771
H 2.058 1.717 26.149
H 0.830 5.946 28.868
H 1.902 6.742 10.529
H 3.130 2.513 7.810
H 3.417 0.191 28.987
H -0.529 4.420 26.029
H 0.544 8.268 7.690
H 4.489 4.039 10.648
H 1.879 8.231 20.876
H 1.010 4.002 34.140
H 2.082 0.228 15.802
H 2.951 4.458 2.537
H 0.567 6.461 18.182
H 4.465 2.231 0.157
H 3.393 1.998 18.496
H -0.505 6.228 36.520
H 3.662 4.460 19.512
H -0.774 0.230 35.504
H 0.298 3.999 17.166
H 4.734 8.229 1.173
H 2.357 4.104 22.809
H 0.531 8.333 32.207
H 1.604 4.355 13.869
H 3.429 0.126 4.470
H 1.744 0.950 27.706
H 1.144 5.180 27.310
H 2.216 7.509 8.972
H 2.816 3.279 9.367
H -1.030 0.195 28.437
H 3.918 4.424 26.579
H 4.991 8.265 8.240
H 0.042 4.035 10.099
H 0.854 6.074 23.847
H 2.034 1.844 31.169
H 3.106 2.385 12.831
H 1.926 6.615 5.508
H 3.657 7.932 24.769
H -0.769 3.703 30.247
H 0.304 0.527 11.909
H 4.729 4.756 6.430
H 4.982 6.817 18.503
H -2.094 2.587 36.513
H -1.022 1.642 18.174
H 6.055 5.872 0.164
H 2.202 7.242 19.457
H 0.686 3.012 35.559
H 1.758 1.218 17.220
H 3.274 5.447 1.118
H 0.112 7.353 22.856
H 2.776 3.124 32.160
H 3.848 1.106 13.822
H 1.184 5.335 4.517
H 2.833 6.349 24.794
H 0.055 2.120 30.222
H 1.128 2.110 11.884
H 3.905 6.339 6.455
C 3.699 0.973 27.118
C -0.811 5.203 27.898
C 0.261 7.486 9.559
C 4.771 3.256 8.779
C 3.887 3.862 21.472
C -0.999 8.092 33.544
C 0.074 4.597 15.205
C 4.959 0.368 3.134
C 1.891 7.821 23.754
C 0.997 3.592 31.263
C 2.069 0.638 12.924
C 2.963 4.867 5.415
C 0.229 7.563 19.868
C 2.659 3.334 35.149
C 3.731 0.896 16.810
C 1.301 5.125 1.529
S -1.086 3.312 22.694
S 3.974 7.542 32.322
S 5.047 5.147 13.983
S -0.014 0.917 4.355
S -1.246 1.293 25.885
S 4.134 5.523 29.131
S 5.206 7.166 10.793
S -0.173 2.936 7.546
S -0.982 8.277 20.868
S 3.870 4.048 34.148
S 4.943 0.182 15.809
S 0.090 4.411 2.530
S 1.938 1.003 23.183
S 0.950 5.233 31.834
S 2.022 7.456 13.495
S 3.010 3.226 4.844
N 1.537 7.636 20.127
N 1.351 3.406 34.889
N 2.423 0.823 16.550
N 2.609 5.053 1.788
N 2.903 7.316 24.453
N -0.015 3.087 30.563
N 1.057 1.143 12.225
N 3.975 5.372 6.114
N 2.393 1.207 26.960
N 0.495 5.436 28.057
N 1.567 7.252 9.718
N 3.466 3.023 8.621
N 0.846 7.035 23.495
N 2.042 2.805 31.521
N 3.115 1.424 13.183
N 1.918 5.654 5.156
N -0.146 6.879 18.783
N 3.034 2.650 36.234
N 4.106 1.580 17.895
N 0.926 5.809 0.444
N 2.650 4.196 21.832
N 0.238 8.425 33.184
N 1.310 4.263 14.846
N 3.722 0.034 3.493
N 4.273 4.018 20.213
N -1.385 8.247 34.803
N -0.313 4.441 16.464
N 5.345 0.212 1.874
N 4.105 0.467 28.285
N -1.217 4.697 26.731
N -0.145 7.992 8.392
N 5.177 3.762 9.947
Cl 1.919 4.251 25.139
Cl 0.969 0.021 29.878
Cl 2.041 4.208 11.539
Cl 2.991 8.438 6.800
Cl 0.983 2.737 19.098
Cl 1.905 6.966 35.918
Cl 2.977 5.722 17.579
Cl 2.055 1.493 0.760

***

# 2
8
Lattice="-2.096 2.096 4.286 2.096 -2.096 4.286 2.096 2.096 -4.286" Properties=species:S:1:pos:R:3 comment="GGA-PBE LiZnO2, relaxed" crystal_system=tetragonal total_magnetization_mub_per_cell=2.002 corrected_energy_ev_per_atom=-4.91 pbc="T T T"
Li 0.000 0.000 0.000
Li 0.000 2.096 2.143
Zn 0.000 0.000 4.286
Zn 2.096 0.000 2.143
O 2.096 0.000 4.136
O 0.000 0.000 2.293
O 0.000 0.000 6.279
O 2.096 0.000 0.150

***

# 3
36
Lattice="-0.891 -3.145 -6.403 0.824 -6.530 3.093 -13.621 -0.666 2.222" Properties=species:S:1:pos:R:3 comment="GGA-PBE Sc5Ge4, relaxed" crystal_system=orthorhombic pbc="T T T"
Sc -8.848 -3.428 -2.100
Sc -11.834 -3.171 2.225
Sc -1.265 -6.738 0.428
Sc -5.430 -7.345 -2.730
Sc -4.841 -6.913 1.012
Sc -1.854 -7.170 -3.314
Sc -12.423 -3.603 -1.517
Sc -8.258 -2.997 1.642
Sc -8.037 -6.315 0.403
Sc -12.447 -9.026 -1.688
Sc -1.568 -3.826 -2.158
Sc -5.324 -1.516 1.266
Sc -5.651 -4.026 -1.492
Sc -1.241 -1.316 0.600
Sc -12.120 -6.515 1.069
Sc -8.364 -8.826 -2.354
Sc -10.509 -6.231 -1.851
Sc -10.472 -1.427 -0.179
Sc -3.179 -4.111 0.762
Sc -3.216 -8.914 -0.909
Ge -6.060 -8.884 -0.592
Ge -0.349 -4.190 0.344
Ge -13.253 -1.732 0.421
Ge -7.714 -5.877 -2.350
Ge -7.628 -1.457 -0.497
Ge -13.339 -6.152 -1.433
Ge -0.435 -8.609 -1.509
Ge -5.974 -4.465 1.262
Ge -10.278 -4.305 0.144
Ge -10.938 -4.182 -3.861
Ge -3.410 -6.036 -1.232
Ge -2.751 -6.160 2.773
Ge -10.100 -8.207 0.066
Ge -9.836 -5.199 2.588
Ge -3.588 -2.134 -1.155
Ge -3.852 -5.142 -3.677

***

# 4
8
Lattice="-2.707 5.347 -1.172 -0.802 -4.508 -4.039 -3.940 -1.465 2.418" Properties=species:S:1:pos:R:3 comment="GGA-PBE LiMg6W, relaxed" crystal_system=orthorhombic total_magnetization_mub_per_cell=0.255 de_polymorph_mev_per_atom=83 pbc="T T T"
Li -2.068 2.039 -2.134
Mg -2.459 -0.197 -4.128
Mg -0.732 -0.610 -1.562
Mg -4.815 0.805 -2.497
Mg -2.982 0.367 0.227
Mg -4.356 2.954 -0.446
Mg -3.391 -2.042 -1.900
W -1.114 -2.894 -3.569

***

# 5
60
Lattice="-2.733 -8.211 -1.738 5.392 -3.121 6.264 -20.001 2.726 18.577" Properties=species:S:1:pos:R:3 comment="GGA-PBE Ba8Si6Sn, relaxed" crystal_system=orthorhombic total_magnetization_mub_per_cell=0.003 pbc="T T T"
Ba -5.801 -2.064 10.822
Ba -14.032 -3.104 22.368
Ba -12.329 -1.190 10.647
Ba 0.211 -2.643 4.106
Ba -11.541 -6.542 12.280
Ba -3.310 -5.502 0.734
Ba -5.013 -7.416 12.456
Ba -17.553 -5.963 18.997
Ba -1.365 -5.668 6.891
Ba -9.348 -0.742 17.829
Ba -15.307 1.571 16.270
Ba -5.930 -4.161 6.952
Ba -15.977 -2.938 16.211
Ba -7.994 -7.863 5.273
Ba -2.035 -10.177 6.832
Ba -11.412 -4.444 16.150
Ba 2.053 -6.211 4.007
Ba -6.206 -1.093 14.619
Ba -18.441 1.950 19.486
Ba -9.358 -3.646 9.831
Ba -19.396 -2.394 19.096
Ba -11.137 -7.513 8.483
Ba 1.099 -10.555 3.617
Ba -7.984 -4.960 13.272
Ba -3.057 -4.725 10.561
Ba -13.216 -0.928 19.322
Ba -12.107 -0.246 14.353
Ba -3.572 -3.102 3.706
Ba -14.285 -3.881 12.541
Ba -4.126 -7.677 3.780
Ba -5.235 -8.360 8.749
Ba -13.771 -5.504 19.396
Si 1.799 -4.614 6.976
Si -9.385 -2.223 14.839
Si -16.495 -0.627 18.482
Si -7.870 -1.537 7.646
Si -19.141 -3.992 16.126
Si -7.957 -6.383 8.263
Si -0.847 -7.979 4.621
Si -9.472 -7.069 15.456
Si -1.397 -2.466 0.720
Si -9.113 -1.586 12.539
Si -16.629 -0.848 20.870
Si -4.813 -4.101 13.814
Si -15.946 -6.140 22.382
Si -8.229 -7.020 10.564
Si -0.713 -7.758 2.232
Si -12.530 -4.505 9.288
Si -1.844 -0.572 2.175
Si -10.852 -3.182 13.114
Si -16.073 -2.805 19.542
Si -3.183 -2.442 13.111
Si -15.499 -8.033 20.928
Si -6.490 -5.424 9.988
Si -1.270 -5.801 3.560
Si -14.159 -6.164 9.991
Sn -2.780 -2.308 7.474
Sn -15.892 -0.632 13.366
Sn -14.562 -6.298 15.629
Sn -6.843 -4.853 3.473

***

# 6
8
Lattice="-2.900 2.900 6.135 2.900 -2.900 6.135 2.900 2.900 -6.135" Properties=species:S:1:pos:R:3 comment="GGA-PBE NaLaS2, relaxed" crystal_system=tetragonal corrected_energy_ev_per_atom=-5.73 pbc="T T T"
Na 0.000 0.000 0.000
Na 0.000 2.900 3.067
La 2.900 0.000 3.067
La 0.000 0.000 6.135
S 2.900 0.000 5.951
S 2.900 0.000 0.184
S 0.000 0.000 9.018
S 0.000 0.000 3.252

***

# 7
20
Lattice="-3.423 -3.460 -0.002 -3.423 3.460 -0.001 -0.006 -0.002 -13.879" Properties=species:S:1:pos:R:3 comment="GGA-PBE CoC2N2, relaxed" crystal_system=triclinic total_magnetization_mub_per_cell=4.001 de_polymorph_mev_per_atom=0 corrected_energy_ev_per_atom=-8.20 pbc="T T T"
Co -3.352 -0.184 -8.309
Co -3.500 0.182 -5.574
Co -3.433 3.267 -12.513
Co -3.419 -3.269 -1.370
C -2.084 1.133 -8.379
C -2.237 -1.137 -5.498
C -1.275 1.124 -12.438
C -1.262 -1.126 -1.442
C -4.768 -1.135 -5.503
C -4.615 1.135 -8.384
C -5.577 -1.126 -1.444
C -5.590 1.124 -12.440
N -4.680 -1.496 -8.428
N -4.837 1.488 -5.447
N -2.101 1.957 -12.390
N -2.087 -1.959 -1.492
N -2.172 1.494 -5.454
N -2.015 -1.490 -8.435
N -4.751 -1.959 -1.493
N -4.765 1.957 -12.391

***

# 8
5
Lattice="3.664 -4.154 0.038 4.633 2.548 1.653 -5.050 -0.667 2.178" Properties=species:S:1:pos:R:3 comment="GGA-PBE Pr2GaNi2, relaxed" crystal_system=orthorhombic pbc="T T T"
Pr 2.262 0.462 2.419
Pr 0.986 -2.736 1.450
Ga 0.000 0.000 0.000
Ni 3.825 -1.930 1.364
Ni -0.577 -0.343 2.506

***

Number 1: DFT formation energy -381 meV/atom. Number 2: DFT formation energy -1641 meV/atom. Number 3: DFT formation energy -844 meV/atom. Number 4: DFT formation energy 318 meV/atom. Number 5: DFT formation energy -456 meV/atom. Number 6: DFT formation energy -2099 meV/atom. Number 7: DFT formation energy 245 meV/atom. Number 8: DFT formation energy -446 meV/atom.